Computed, not measured: a relaxed FePH5CO4 crystal at the PBE with a Hubbard U level of DFT.

Geometry as POSCAR:
```
FePH5CO4
1.0
4.845 -0.061 0.004
-0.067 5.813 9.051
0.079 -5.811 9.050
Fe P H C O
4 4 20 4 16
Cartesian
3.469 2.863 9.276
1.089 -0.009 8.813
3.515 -2.949 9.299
1.066 -0.006 17.865
3.169 -0.065 1.709
3.211 -0.045 10.766
0.735 2.897 7.335
0.780 -2.908 7.346
4.143 2.850 5.425
4.189 -2.971 5.423
1.757 -0.036 12.669
1.730 -0.017 3.633
0.718 -3.713 10.872
0.663 2.104 10.850
3.199 0.737 7.285
3.167 0.750 16.323
3.132 -0.818 16.298
3.148 -0.826 7.259
0.818 -2.152 10.823
0.734 3.670 10.804
0.814 2.018 5.100
0.797 2.004 14.168
3.275 -0.924 13.006
3.249 -0.907 3.960
3.254 0.881 3.923
3.271 0.864 12.992
0.893 -2.007 14.151
0.867 -2.023 5.112
2.846 -0.035 12.529
2.816 -0.021 3.477
0.384 2.911 5.569
0.429 -2.914 5.579
0.180 -2.893 10.941
0.107 2.913 10.900
2.581 -0.025 7.194
2.560 -0.021 16.231
2.246 2.907 7.550
2.291 -2.920 7.551
4.722 -0.025 10.561
4.681 -0.048 1.505
2.535 -4.646 10.082
2.488 1.186 10.113
0.024 4.145 7.979
0.090 -1.645 7.973
0.029 1.652 7.963
0.061 -4.139 8.003
2.523 -1.304 10.134
2.401 4.489 10.152
```

volume: 509.7 Å³/cell
formation enthalpy at 0 K: -1326 meV per atom
space group: P1, No. 1
ρ: 2.188 g/cm³
total magnetic moment: 0.0 μB/f.u.